[1]
Compound: MgP2O6
Source: Materials Project
Functional: GGA-PBE
Structure: optimized geometry Values from VASP.

As for the space-group type: C2/c, No. 15. The energy relative to the elements is -2.851 eV/atom. For the total DFT energy (no corrections), the calculation gives -7.07 eV/atom.

Cell and atoms, written as Quantum ESPRESSO input:
```
&SYSTEM
  ibrav = 0, nat = 36, ntyp = 3
/
ATOMIC_SPECIES
Mg 24.30 Mg.upf
P 30.97 P.upf
O 16.00 O.upf
CELL_PARAMETERS angstrom
4.185 5.969 0.000
-4.185 5.969 0.000
0.000 4.880 8.844
ATOMIC_POSITIONS crystal
Mg 0.950 0.050 0.750
Mg 0.050 0.950 0.250
Mg 0.000 0.500 0.500
Mg 0.500 0.000 0.000
P 0.268 0.745 0.524
P 0.255 0.732 0.976
P 0.732 0.255 0.476
P 0.745 0.268 0.024
P 0.707 0.685 0.806
P 0.315 0.293 0.694
P 0.293 0.315 0.194
P 0.685 0.707 0.306
O 0.149 0.907 0.597
O 0.093 0.851 0.903
O 0.851 0.093 0.403
O 0.907 0.149 0.097
O 0.189 0.711 0.419
O 0.289 0.811 0.081
O 0.811 0.289 0.581
O 0.711 0.189 0.919
O 0.496 0.785 0.437
O 0.215 0.504 0.063
O 0.504 0.215 0.563
O 0.785 0.496 0.937
O 0.814 0.650 0.656
O 0.350 0.186 0.844
O 0.186 0.350 0.344
O 0.650 0.814 0.156
O 0.721 0.874 0.828
O 0.126 0.279 0.672
O 0.279 0.126 0.172
O 0.874 0.721 0.328
O 0.469 0.688 0.847
O 0.312 0.531 0.653
O 0.531 0.312 0.153
O 0.688 0.469 0.347
```


[2]
Compound: BiP4O12
Source: Materials Project
Functional: GGA-PBE
Structure: optimized geometry Values from VASP.

As for the space-group type: P2_1/c, No. 14. The calculation puts the spin magnetization at 0.0 μB/cell. The energy relative to the elements is -2.375 eV/atom. For the total DFT energy (no corrections), the calculation gives -6.88 eV/atom.

Cell and atoms, written as Quantum ESPRESSO input:
```
&SYSTEM
  ibrav = 0, nat = 68, ntyp = 3
/
ATOMIC_SPECIES
Bi 208.98 Bi.upf
P 30.97 P.upf
O 16.00 O.upf
CELL_PARAMETERS angstrom
-2.101 6.003 -6.383
2.037 -7.162 -7.407
-8.248 -8.502 -5.281
ATOMIC_POSITIONS crystal
Bi 0.735 0.189 0.001
Bi 0.765 0.189 0.501
Bi 0.265 0.811 0.999
Bi 0.235 0.811 0.499
P 0.490 0.493 0.760
P 0.603 0.302 0.684
P 0.397 0.698 0.316
P 0.897 0.302 0.184
P 0.510 0.507 0.240
P 0.399 0.108 0.653
P 0.601 0.892 0.347
P 0.101 0.108 0.153
P 0.899 0.892 0.847
P 0.338 0.184 0.965
P 0.010 0.493 0.260
P 0.662 0.816 0.035
P 0.838 0.816 0.535
P 0.103 0.698 0.816
P 0.990 0.507 0.740
P 0.162 0.184 0.465
O 0.390 0.548 0.143
O 0.890 0.452 0.357
O 0.471 0.936 0.391
O 0.971 0.064 0.109
O 0.656 0.189 0.823
O 0.144 0.364 0.333
O 0.610 0.452 0.857
O 0.110 0.548 0.643
O 0.945 0.763 0.825
O 0.729 0.917 0.069
O 0.423 0.658 0.679
O 0.020 0.130 0.543
O 0.782 0.782 0.963
O 0.856 0.636 0.667
O 0.451 0.534 0.344
O 0.299 0.655 0.426
O 0.771 0.917 0.569
O 0.029 0.936 0.891
O 0.980 0.870 0.457
O 0.549 0.466 0.656
O 0.187 0.971 0.269
O 0.218 0.218 0.037
O 0.156 0.811 0.677
O 0.520 0.870 0.957
O 0.844 0.189 0.323
O 0.923 0.342 0.821
O 0.445 0.237 0.675
O 0.049 0.534 0.844
O 0.077 0.658 0.179
O 0.529 0.064 0.609
O 0.687 0.029 0.231
O 0.201 0.655 0.926
O 0.799 0.345 0.074
O 0.055 0.237 0.175
O 0.577 0.342 0.321
O 0.718 0.782 0.463
O 0.356 0.364 0.833
O 0.701 0.345 0.574
O 0.644 0.636 0.167
O 0.480 0.130 0.043
O 0.813 0.029 0.731
O 0.271 0.083 0.931
O 0.555 0.763 0.325
O 0.951 0.466 0.156
O 0.344 0.811 0.177
O 0.313 0.971 0.769
O 0.229 0.083 0.431
O 0.282 0.218 0.537
```


Which formula does entry 1 have?
MgP2O6


Among the records above, which one has the highest energy relative to the elements?
BiP4O12


Look up the total DFT energy (no corrections) of the second one.
-6.88 eV/atom